Entry 1:
Material: AlGaS3O12
Method: DFT, GGA-PBE
State: relaxed

ΔH_f (0 K) in eV/atom: -2.128
Symmetry: P321
V in A^3/atom: 12.821

Cell lengths 8.353, 8.353, 21.645 Å; angles 90.00, 90.00, 120.00 degrees
Atoms (fractional coordinates):
Al: 0.000 0.000 0.103
Al: 0.000 0.000 0.396
Al: 0.000 0.000 0.604
Al: 0.000 0.000 0.897
Al: 0.333 0.667 0.062
Al: 0.667 0.333 0.938
Ga: 0.333 0.667 0.270
Ga: 0.333 0.667 0.563
Ga: 0.333 0.667 0.770
Ga: 0.667 0.333 0.230
Ga: 0.667 0.333 0.437
Ga: 0.667 0.333 0.730
S: 0.000 0.289 0.000
S: 0.000 0.713 0.500
S: 0.042 0.373 0.666
S: 0.044 0.669 0.165
S: 0.287 0.287 0.500
S: 0.289 0.000 0.000
S: 0.331 0.375 0.165
S: 0.331 0.958 0.666
S: 0.373 0.042 0.334
S: 0.375 0.331 0.835
S: 0.625 0.956 0.165
S: 0.627 0.669 0.666
S: 0.669 0.044 0.835
S: 0.669 0.627 0.334
S: 0.711 0.711 0.000
S: 0.713 0.000 0.500
S: 0.956 0.625 0.835
S: 0.958 0.331 0.334
O: 0.025 0.191 0.657
O: 0.025 0.833 0.156
O: 0.033 0.829 0.445
O: 0.035 0.206 0.945
O: 0.122 0.492 0.611
O: 0.130 0.634 0.111
O: 0.138 0.641 0.827
O: 0.140 0.497 0.326
O: 0.158 0.453 0.722
O: 0.158 0.705 0.222
O: 0.165 0.473 0.009
O: 0.165 0.694 0.507
O: 0.166 0.975 0.657
O: 0.167 0.192 0.156
O: 0.171 0.203 0.445
O: 0.171 0.965 0.945
O: 0.191 0.025 0.343
O: 0.192 0.167 0.844
O: 0.203 0.171 0.555
O: 0.206 0.035 0.055
O: 0.295 0.453 0.222
O: 0.295 0.842 0.722
O: 0.306 0.470 0.507
O: 0.308 0.835 0.009
O: 0.356 0.860 0.326
O: 0.359 0.497 0.827
O: 0.366 0.496 0.111
O: 0.370 0.878 0.611
O: 0.453 0.158 0.278
O: 0.453 0.295 0.778
O: 0.470 0.306 0.493
O: 0.473 0.165 0.991
O: 0.492 0.122 0.389
O: 0.496 0.366 0.889
O: 0.497 0.140 0.674
O: 0.497 0.359 0.173
O: 0.503 0.644 0.326
O: 0.503 0.862 0.827
O: 0.504 0.870 0.111
O: 0.508 0.630 0.611
O: 0.527 0.692 0.009
O: 0.530 0.835 0.507
O: 0.547 0.705 0.722
O: 0.547 0.842 0.222
O: 0.630 0.508 0.389
O: 0.634 0.130 0.889
O: 0.641 0.138 0.173
O: 0.644 0.503 0.674
O: 0.692 0.527 0.991
O: 0.694 0.165 0.493
O: 0.705 0.158 0.778
O: 0.705 0.547 0.278
O: 0.794 0.829 0.945
O: 0.797 0.967 0.445
O: 0.808 0.975 0.156
O: 0.809 0.834 0.657
O: 0.829 0.033 0.555
O: 0.829 0.794 0.055
O: 0.833 0.025 0.844
O: 0.834 0.809 0.343
O: 0.835 0.308 0.991
O: 0.835 0.530 0.493
O: 0.842 0.295 0.278
O: 0.842 0.547 0.778
O: 0.860 0.356 0.674
O: 0.862 0.503 0.173
O: 0.870 0.504 0.889
O: 0.878 0.370 0.389
O: 0.965 0.171 0.055
O: 0.967 0.797 0.555
O: 0.975 0.166 0.343
O: 0.975 0.808 0.844

***

Entry 2:
Material: Sr2AlGaSn2O7
Method: DFT, GGA-PBE
State: relaxed

ΔH_f (0 K) in eV/atom: -2.355
Symmetry: P1
V in A^3/atom: 16.613

Cell lengths 5.753, 6.585, 12.198 Å; angles 74.47, 76.46, 89.88 degrees
Atoms (fractional coordinates):
Sr: 0.000 0.000 0.000
Sr: 0.172 0.172 0.652
Sr: 0.502 0.387 0.004
Sr: 0.680 0.565 0.647
Al: 0.289 0.497 0.390
Al: 0.850 0.062 0.264
Ga: 0.132 0.636 0.826
Ga: 0.621 0.946 0.824
Sn: 0.234 0.771 0.520
Sn: 0.403 0.793 0.174
Sn: 0.748 0.140 0.483
Sn: 0.930 0.468 0.133
O: 0.001 0.406 0.961
O: 0.002 0.386 0.470
O: 0.131 0.008 0.189
O: 0.132 0.538 0.692
O: 0.219 0.669 0.073
O: 0.463 0.912 0.580
O: 0.465 0.681 0.826
O: 0.495 0.374 0.466
O: 0.501 0.050 0.954
O: 0.636 0.176 0.691
O: 0.642 0.031 0.183
O: 0.698 0.675 0.078
O: 0.949 0.923 0.575
O: 0.959 0.880 0.826

***

Entry 3:
Material: Sr2Ti2AlGaO7
Method: DFT, GGA-PBE
State: relaxed

ΔH_f (0 K) in eV/atom: -2.820
Symmetry: P1
V in A^3/atom: 13.921

Cell lengths 5.161, 5.334, 13.624 Å; angles 100.51, 100.79, 90.25 degrees
Atoms (fractional coordinates):
Sr: 0.000 0.000 0.000
Sr: 0.166 0.170 0.358
Sr: 0.489 0.474 0.997
Sr: 0.685 0.643 0.355
Ti: 0.201 0.763 0.578
Ti: 0.333 0.906 0.793
Ti: 0.858 0.266 0.578
Ti: 0.945 0.410 0.795
Al: 0.418 0.324 0.677
Al: 0.750 0.805 0.669
Ga: 0.136 0.643 0.179
Ga: 0.633 0.005 0.178
O: 0.007 0.979 0.181
O: 0.141 0.176 0.857
O: 0.148 0.607 0.313
O: 0.197 0.682 0.862
O: 0.506 0.668 0.177
O: 0.512 0.042 0.045
O: 0.535 0.520 0.587
O: 0.539 0.026 0.596
O: 0.598 0.253 0.796
O: 0.627 0.164 0.312
O: 0.671 0.741 0.786
O: 0.992 0.976 0.503
O: 0.993 0.475 0.502
O: 0.997 0.485 0.046

***

Entry 4:
Material: Pm2AlGa
Method: DFT, GGA-PBE
State: relaxed

ΔH_f (0 K) in eV/atom: -0.460
Symmetry: Fm-3m
V in A^3/atom: 25.171

Cell lengths 7.385, 7.385, 7.385 Å; angles 90.00, 90.00, 90.00 degrees
Atoms (fractional coordinates):
Pm: 0.250 0.250 0.250
Pm: 0.250 0.250 0.750
Pm: 0.250 0.750 0.250
Pm: 0.250 0.750 0.750
Pm: 0.750 0.250 0.250
Pm: 0.750 0.250 0.750
Pm: 0.750 0.750 0.250
Pm: 0.750 0.750 0.750
Al: 0.000 0.000 0.000
Al: 0.000 0.500 0.500
Al: 0.500 0.000 0.500
Al: 0.500 0.500 0.000
Ga: 0.000 0.000 0.500
Ga: 0.000 0.500 0.000
Ga: 0.500 0.000 0.000
Ga: 0.500 0.500 0.500

***

Entry 5:
Material: PuAl2Ga2
Method: DFT, GGA-PBE
State: relaxed

ΔH_f (0 K) in eV/atom: -0.309
Symmetry: Imma
V in A^3/atom: 18.640

Cell lengths 7.880, 7.880, 7.880 Å; angles 148.28, 133.09, 57.73 degrees
Atoms (fractional coordinates):
Pu: 0.364 0.114 0.250
Pu: 0.636 0.886 0.750
Al: 0.000 0.500 0.500
Al: 0.144 0.894 0.250
Al: 0.500 0.500 0.000
Al: 0.856 0.106 0.750
Ga: 0.167 0.697 0.470
Ga: 0.273 0.303 0.970
Ga: 0.727 0.697 0.030
Ga: 0.833 0.303 0.530

***

Entry 6:
Material: AlZnGaS4
Method: DFT, GGA-PBE
State: relaxed

ΔH_f (0 K) in eV/atom: -1.157
Symmetry: I-4
V in A^3/atom: 21.545

Cell lengths 5.374, 5.374, 10.444 Å; angles 90.00, 90.00, 90.00 degrees
Atoms (fractional coordinates):
Al: 0.000 0.000 0.000
Al: 0.500 0.500 0.500
Zn: 0.000 0.000 0.500
Zn: 0.500 0.500 0.000
Ga: 0.000 0.500 0.250
Ga: 0.500 0.000 0.750
S: 0.240 0.245 0.872
S: 0.245 0.760 0.128
S: 0.255 0.740 0.628
S: 0.260 0.255 0.372
S: 0.740 0.745 0.372
S: 0.745 0.260 0.628
S: 0.755 0.240 0.128
S: 0.760 0.755 0.872